Li2AlVO4 PBE with a Hubbard U relaxed; M_tot = 2.00 μB/f.u.; VASP energy = -6.70 eV/atom; relative energy among the computed polymorphs = 65 meV per atom; DFT formation energy = -2.699 eV per atom
1.0
5.125 0.000 0.000
0.000 11.035 0.000
-5.088 0.000 6.471
Li Al V O
8 4 4 16
Direct
0.035 0.077 0.238 Li
0.035 0.423 0.738 Li
0.184 0.164 0.994 Li
0.184 0.336 0.494 Li
0.816 0.664 0.506 Li
0.816 0.836 0.006 Li
0.965 0.577 0.262 Li
0.965 0.923 0.762 Li
0.433 0.086 0.746 Al
0.433 0.414 0.246 Al
0.567 0.586 0.754 Al
0.567 0.914 0.254 Al
0.316 0.666 0.004 V
0.316 0.834 0.504 V
0.684 0.166 0.496 V
0.684 0.334 0.996 V
0.076 0.090 0.738 O
0.076 0.410 0.238 O
0.238 0.666 0.530 O
0.238 0.834 0.030 O
0.325 0.162 0.520 O
0.325 0.338 0.020 O
0.456 0.067 0.249 O
0.456 0.433 0.749 O
0.544 0.567 0.251 O
0.544 0.933 0.751 O
0.675 0.662 0.980 O
0.675 0.838 0.480 O
0.762 0.166 0.970 O
0.762 0.334 0.470 O
0.924 0.590 0.762 O
0.924 0.910 0.262 O